Entry 1:
A plane-wave DFT calculation with meta-GGA r2SCAN was carried out for an optimized crystal structure of Tb3Ni2.

Properties
For the total magnetic moment, the calculation gives 0.62 μB per cell. The value obtained for the formation enthalpy at 0 K is -336.2 meV/atom.

Cell lengths 6.865, 6.865, 9.575 Å; angles 104.54, 104.54, 30.93 degrees
Fractional coordinates of all 10 atoms:
Tb 0.097 0.097 0.175
Tb 0.355 0.355 0.135
Tb 0.369 0.369 0.501
Tb 0.631 0.631 0.499
Tb 0.645 0.645 0.865
Tb 0.903 0.903 0.825
Ni 0.035 0.035 0.643
Ni 0.243 0.243 0.724
Ni 0.757 0.757 0.276
Ni 0.965 0.965 0.357

Entry 2:
A plane-wave DFT calculation with meta-GGA r2SCAN was carried out for an optimized crystal structure of CaGe2Au2.

Properties
For the total magnetic moment, the calculation gives 0.00 μB per cell. The value obtained for the formation enthalpy at 0 K is -466.3 meV/atom.

Cell lengths 6.037, 6.037, 6.037 Å; angles 136.65, 136.65, 62.97 degrees
Fractional coordinates of all 5 atoms:
Ca 0.000 0.000 0.000
Ge 0.382 0.382 0.000
Ge 0.618 0.618 0.000
Au 0.250 0.750 0.500
Au 0.750 0.250 0.500

Entry 3:
A plane-wave DFT calculation with meta-GGA r2SCAN was carried out for an optimized crystal structure of Ca2Mg.

Properties
For the total magnetic moment, the calculation gives 0.00 μB per cell. The value obtained for the formation enthalpy at 0 K is -41.5 meV/atom.

Cell lengths 7.485, 7.485, 7.804 Å; angles 105.12, 105.12, 30.23 degrees
Fractional coordinates of all 6 atoms:
Ca 0.146 0.146 0.072
Ca 0.149 0.149 0.575
Ca 0.851 0.851 0.425
Ca 0.854 0.854 0.928
Mg 0.500 0.500 0.256
Mg 0.500 0.500 0.744